Entry 1:
Computed, not measured: an optimized crystal structure of Sr6CoC2N7 at the GGA-PBE level of DFT.

Unit cell a=9.893 b=14.691 c=3.870 alpha=90.00 beta=90.00 gamma=90.00
Space group P2_12_12 (No. 18)
One atom of each set of equivalent atoms:
Sr1 0.072 0.110 0.060 (multiplicity 4)
Sr2 0.095 0.664 0.506 (multiplicity 4)
Sr3 0.246 0.942 0.559 (multiplicity 4)
Co1 0.000 0.500 0.977 (multiplicity 2)
C1 0.228 0.280 0.816 (multiplicity 4)
N1 0.000 0.000 0.564 (multiplicity 2)
N2 0.134 0.251 0.635 (multiplicity 4)
N3 0.167 0.554 0.971 (multiplicity 4)
N4 0.169 0.806 0.030 (multiplicity 4)

Calculated values
Energy with MP2020 corrections ... -6.7370 eV/atom
Largest piezoelectric modulus ... 0.52 C/m2

Entry 2:
Computed, not measured: an optimized crystal structure of NaLaGa4S8 at the GGA-PBE level of DFT.

Unit cell a=12.274 b=20.499 c=20.612 alpha=90.00 beta=90.00 gamma=90.00
Space group Fddd (No. 70, origin choice 2)
One atom of each set of equivalent atoms:
Na1 0.125 0.125 0.371 (multiplicity 16)
La1 0.125 0.125 0.125 (multiplicity 8)
La2 0.125 0.125 0.625 (multiplicity 8)
Ga1 0.085 0.305 0.250 (multiplicity 32)
Ga2 0.125 0.261 0.498 (multiplicity 32)
S1 0.002 0.343 0.497 (multiplicity 32)
S2 0.003 0.002 0.084 (multiplicity 32)
S3 0.005 0.002 0.584 (multiplicity 32)
S4 0.015 0.081 0.751 (multiplicity 32)

Calculated values
Energy with MP2020 corrections ... -5.0142 eV/atom

Entry 3:
Computed, not measured: an optimized crystal structure of Li3Ag2Ge3 at the GGA-PBE level of DFT.

Unit cell a=6.439 b=6.439 c=6.439 alpha=90.00 beta=90.00 gamma=90.00
Space group Pn-3m (No. 224, origin choice 2)
One atom of each set of equivalent atoms:
Li1 0.000 0.000 0.000 (multiplicity 4)
Li2 0.250 0.250 0.250 (multiplicity 2)
Ag1 0.000 0.000 0.500 (multiplicity 4)
Ge1 0.250 0.250 0.750 (multiplicity 6)

Calculated values
Raw total energy ... -3.308 eV/atom

Entry 4:
Computed, not measured: an optimized crystal structure of Ca5Si2HO9F at the GGA-PBE level of DFT.

Unit cell a=7.039 b=9.830 c=7.506 alpha=90.00 beta=110.79 gamma=90.00
Space group P2_1 (No. 4)
One atom of each set of equivalent atoms:
Ca1 0.122 0.000 0.396 (multiplicity 2)
Ca2 0.139 0.233 0.948 (multiplicity 2)
Ca3 0.232 0.356 0.491 (multiplicity 2)
Ca4 0.341 0.718 0.649 (multiplicity 2)
Ca5 0.345 0.583 0.142 (multiplicity 2)
Si1 0.129 0.938 0.886 (multiplicity 2)
Si2 0.488 0.395 0.913 (multiplicity 2)
H1 0.411 0.268 0.778 (multiplicity 2)
O1 0.043 0.191 0.609 (multiplicity 2)
O2 0.113 0.899 0.667 (multiplicity 2)
O3 0.121 0.759 0.335 (multiplicity 2)
O4 0.267 0.804 0.020 (multiplicity 2)
O5 0.281 0.491 0.777 (multiplicity 2)
O6 0.352 0.036 0.991 (multiplicity 2)
O7 0.423 0.353 0.099 (multiplicity 2)
O8 0.439 0.547 0.457 (multiplicity 2)
O9 0.442 0.921 0.457 (multiplicity 2)
F1 0.177 0.192 0.260 (multiplicity 2)

Calculated values
Energy with MP2020 corrections ... -6.4558 eV/atom
ΔE to the lowest computed polymorph ... 0 meV/atom

Entry 5:
Computed, not measured: an optimized crystal structure of Rb2AgRhF6 at the GGA-PBE level of DFT.

Unit cell a=8.844 b=8.844 c=8.844 alpha=90.00 beta=90.00 gamma=90.00
Space group Fm-3m (No. 225)
One atom of each set of equivalent atoms:
Rb1 0.250 0.250 0.250 (multiplicity 8)
Ag1 0.000 0.000 0.000 (multiplicity 4)
Rh1 0.000 0.000 0.500 (multiplicity 4)
F1 0.000 0.000 0.270 (multiplicity 24)

Calculated values
Energy with MP2020 corrections ... -4.6296 eV/atom

Entry 6:
Computed, not measured: an optimized crystal structure of HoCoGe2 at the GGA-PBE level of DFT.

Unit cell a=4.132 b=16.501 c=4.189 alpha=90.00 beta=90.00 gamma=90.00
Space group Cmcm (No. 63)
One atom of each set of equivalent atoms:
Ho1 0.000 0.108 0.250 (multiplicity 4)
Co1 0.000 0.319 0.250 (multiplicity 4)
Ge1 0.000 0.252 0.750 (multiplicity 4)
Ge2 0.000 0.455 0.250 (multiplicity 4)

Calculated values
Raw total energy ... -5.858 eV/atom

Entry 7:
Computed, not measured: an optimized crystal structure of BaH6C2S2N2O3 at the GGA-PBE level of DFT.

Unit cell a=16.358 b=4.531 c=13.570 alpha=90.00 beta=104.40 gamma=90.00
Space group C2/m (No. 12)
One atom of each set of equivalent atoms:
Ba1 0.121 0.000 0.272 (multiplicity 4)
H1 0.036 0.171 0.618 (multiplicity 8)
H2 0.111 0.171 0.026 (multiplicity 8)
H3 0.229 0.500 0.139 (multiplicity 4)
H4 0.232 0.000 0.744 (multiplicity 4)
C1 0.065 0.500 0.851 (multiplicity 4)
C2 0.159 0.500 0.504 (multiplicity 4)
S1 0.155 0.500 0.624 (multiplicity 4)
S2 0.163 0.500 0.916 (multiplicity 4)
N1 0.007 0.500 0.195 (multiplicity 4)
N2 0.161 0.500 0.417 (multiplicity 4)
O1 0.001 0.000 0.623 (multiplicity 4)
O2 0.100 0.000 0.066 (multiplicity 4)
O3 0.214 0.500 0.205 (multiplicity 4)

Calculated values
Energy with MP2020 corrections ... -6.0016 eV/atom

Entry 8:
Computed, not measured: an optimized crystal structure of RbLiBr2 at the GGA-PBE level of DFT.

Unit cell a=4.418 b=15.351 c=7.788 alpha=90.00 beta=90.00 gamma=90.00
Space group Cmcm (No. 63)
One atom of each set of equivalent atoms:
Rb1 0.000 0.127 0.250 (multiplicity 4)
Li1 0.000 0.394 0.250 (multiplicity 4)
Br1 0.000 0.194 0.750 (multiplicity 4)
Br2 0.000 0.500 0.000 (multiplicity 4)

Calculated values
Energy with MP2020 corrections ... -3.4683 eV/atom

Entry 9:
Computed, not measured: an optimized crystal structure of GdHoAl6 at the GGA-PBE level of DFT.

Unit cell a=6.1113 b=6.1113 c=9.6389 alpha=90.00 beta=90.00 gamma=120.00
Space group P6_3/mmc (No. 194)
One atom of each set of equivalent atoms:
Gd1 0.3333 0.6667 0.2500 (multiplicity 2)
Ho1 0.0000 0.0000 0.0000 (multiplicity 2)
Al1 0.0000 0.5000 0.0000 (multiplicity 6)
Al2 0.1846 0.3692 0.7500 (multiplicity 6)

Calculated values
ΔE to the lowest computed polymorph ... 7 meV/atom

Entry 10:
Computed, not measured: an optimized crystal structure of K7TaAs4 at the GGA-PBE level of DFT.

Unit cell a=10.371 b=9.249 c=8.419 alpha=90.00 beta=90.00 gamma=90.00
Space group Pmn2_1 (No. 31)
One atom of each set of equivalent atoms:
K1 0.000 0.034 0.000 (multiplicity 2)
K2 0.000 0.339 0.784 (multiplicity 2)
K3 0.000 0.892 0.513 (multiplicity 2)
K4 0.212 0.534 0.494 (multiplicity 4)
K5 0.217 0.166 0.332 (multiplicity 4)
Ta1 0.000 0.673 0.121 (multiplicity 2)
As1 0.000 0.410 0.200 (multiplicity 2)
As2 0.000 0.682 0.823 (multiplicity 2)
As3 0.201 0.806 0.216 (multiplicity 4)

Calculated values
Raw total energy ... -3.651 eV/atom

Entry 11:
Computed, not measured: an optimized crystal structure of Be46Ir7 at the GGA-PBE level of DFT.

Unit cell a=4.1768 b=4.1768 c=33.0242 alpha=90.00 beta=90.00 gamma=120.00
Space group P3m1 (No. 156)
One atom of each set of equivalent atoms:
Be1 0.0000 0.0000 0.0000 (multiplicity 1)
Be2 0.0000 0.0000 0.0829 (multiplicity 1)
Be3 0.0000 0.0000 0.3333 (multiplicity 1)
Be4 0.0000 0.0000 0.4163 (multiplicity 1)
Be5 0.0000 0.0000 0.6666 (multiplicity 1)
Be6 0.0000 0.0000 0.7505 (multiplicity 1)
Be7 0.1640 0.3280 0.4787 (multiplicity 3)
Be8 0.1638 0.3275 0.6047 (multiplicity 3)
Be9 0.1652 0.3304 0.8139 (multiplicity 3)
Be10 0.1653 0.3306 0.9361 (multiplicity 3)
Be11 0.1661 0.3322 0.1477 (multiplicity 3)
Be12 0.1662 0.3324 0.2688 (multiplicity 3)
Be13 0.3333 0.6667 0.0940 (multiplicity 1)
Be14 0.3333 0.6667 0.2083 (multiplicity 1)
Be15 0.3333 0.6667 0.3224 (multiplicity 1)
Be16 0.3333 0.6667 0.4271 (multiplicity 1)
Be17 0.3333 0.6667 0.6563 (multiplicity 1)
Be18 0.3333 0.6667 0.7609 (multiplicity 1)
Be19 0.3333 0.6667 0.9890 (multiplicity 1)
Be20 0.5033 0.0066 0.0416 (multiplicity 3)
Be21 0.5033 0.0066 0.3749 (multiplicity 3)
Be22 0.5033 0.0065 0.7083 (multiplicity 3)
Be23 0.6667 0.3333 0.1763 (multiplicity 1)
Be24 0.6667 0.3333 0.2402 (multiplicity 1)
Be25 0.6667 0.3333 0.5098 (multiplicity 1)
Be26 0.6667 0.3333 0.5735 (multiplicity 1)
Be27 0.6667 0.3333 0.8418 (multiplicity 1)
Be28 0.6667 0.3333 0.9078 (multiplicity 1)
Ir1 0.0000 0.0000 0.5416 (multiplicity 1)
Ir2 0.6667 0.3333 0.1055 (multiplicity 1)
Ir3 0.6667 0.3333 0.3112 (multiplicity 1)
Ir4 0.6667 0.3333 0.4380 (multiplicity 1)
Ir5 0.6667 0.3333 0.6452 (multiplicity 1)
Ir6 0.6667 0.3333 0.7714 (multiplicity 1)
Ir7 0.6667 0.3333 0.9784 (multiplicity 1)

Calculated values
Raw total energy ... -4.618 eV/atom

Entry 12:
Computed, not measured: an optimized crystal structure of LiCuPO4 at the GGA-PBE level of DFT.

Unit cell a=7.989 b=5.094 c=8.583 alpha=90.00 beta=97.75 gamma=90.00
Space group P2_1 (No. 4)
One atom of each set of equivalent atoms:
Li1 0.038 0.000 0.418 (multiplicity 2)
Li2 0.449 0.589 0.809 (multiplicity 2)
Cu1 0.181 0.580 0.091 (multiplicity 2)
Cu2 0.409 0.002 0.592 (multiplicity 2)
P1 0.216 0.093 0.896 (multiplicity 2)
P2 0.274 0.501 0.458 (multiplicity 2)
O1 0.029 0.099 0.821 (multiplicity 2)
O2 0.135 0.322 0.495 (multiplicity 2)
O3 0.226 0.792 0.474 (multiplicity 2)
O4 0.241 0.942 0.056 (multiplicity 2)
O5 0.287 0.379 0.929 (multiplicity 2)
O6 0.327 0.948 0.788 (multiplicity 2)
O7 0.336 0.448 0.295 (multiplicity 2)
O8 0.441 0.450 0.580 (multiplicity 2)

Calculated values
Energy with MP2020 corrections ... -6.5960 eV/atom
ΔE to the lowest computed polymorph ... 60 meV/atom

Entry 13:
Computed, not measured: an optimized crystal structure of AlSiNi6 at the GGA-PBE level of DFT.

Unit cell a=3.526 b=3.526 c=7.002 alpha=90.00 beta=90.00 gamma=90.00
Space group P4/mmm (No. 123)
One atom of each set of equivalent atoms:
Al1 0.000 0.000 0.000 (multiplicity 1)
Si1 0.000 0.000 0.500 (multiplicity 1)
Ni1 0.000 0.500 0.257 (multiplicity 4)
Ni2 0.500 0.500 0.000 (multiplicity 1)
Ni3 0.500 0.500 0.500 (multiplicity 1)

Calculated values
Raw total energy ... -5.926 eV/atom